# 1
ThV4O12 (GGA+U, relaxed); E_form = -2718 meV per atom; spin magnetization = 0.00 μB/f.u.; SG = I4_1/acd (142)
1.0
-4.378 4.378 14.812
4.378 -4.378 14.812
4.378 4.378 -14.812
Th V O
4 16 48
direct
0.125 0.375 0.750
0.375 0.125 0.250
0.625 0.875 0.750
0.875 0.625 0.250
0.059 0.094 0.254
0.094 0.341 0.035
0.159 0.406 0.465
0.194 0.941 0.535
0.306 0.841 0.746
0.341 0.806 0.246
0.406 0.441 0.246
0.441 0.694 0.035
0.559 0.306 0.965
0.594 0.559 0.754
0.659 0.194 0.754
0.694 0.159 0.254
0.806 0.059 0.465
0.841 0.594 0.535
0.906 0.659 0.965
0.941 0.906 0.746
0.005 0.517 0.881
0.017 0.505 0.381
0.038 0.788 0.250
0.067 0.250 0.317
0.093 0.171 0.444
0.124 0.005 0.989
0.136 0.124 0.619
0.149 0.727 0.556
0.171 0.227 0.078
0.212 0.962 0.250
0.227 0.649 0.056
0.250 0.433 0.183
0.250 0.933 0.683
0.273 0.329 0.422
0.288 0.538 0.750
0.329 0.407 0.056
0.351 0.907 0.578
0.364 0.983 0.989
0.376 0.364 0.881
0.407 0.851 0.078
0.433 0.750 0.183
0.462 0.712 0.750
0.483 0.864 0.489
0.495 0.376 0.511
0.505 0.624 0.489
0.517 0.136 0.511
0.538 0.288 0.250
0.567 0.250 0.817
0.593 0.149 0.922
0.624 0.636 0.119
0.636 0.017 0.011
0.649 0.093 0.422
0.671 0.593 0.944
0.712 0.462 0.250
0.727 0.671 0.578
0.750 0.067 0.317
0.750 0.567 0.817
0.773 0.351 0.944
0.788 0.038 0.750
0.829 0.773 0.922
0.851 0.273 0.444
0.864 0.876 0.381
0.876 0.995 0.011
0.907 0.829 0.556
0.933 0.750 0.683
0.962 0.212 0.750
0.983 0.495 0.619
0.995 0.483 0.119


# 2
ThV4O12 (GGA+U, relaxed); E_form = -2717 meV per atom; spin magnetization = 0.02 μB/f.u.; SG = I4_1/a (88)
1.0
-4.361 4.361 14.738
4.361 -4.361 14.738
4.361 4.361 -14.738
Th V O
4 16 48
direct
0.125 0.875 0.250
0.375 0.625 0.750
0.625 0.375 0.250
0.875 0.125 0.750
0.057 0.592 0.749
0.092 0.843 0.535
0.160 0.906 0.966
0.192 0.443 0.035
0.306 0.340 0.246
0.343 0.308 0.751
0.406 0.940 0.746
0.440 0.194 0.534
0.560 0.806 0.466
0.594 0.060 0.254
0.657 0.692 0.249
0.694 0.660 0.754
0.808 0.557 0.965
0.840 0.094 0.034
0.908 0.157 0.465
0.943 0.408 0.251
0.010 0.016 0.385
0.018 0.005 0.882
0.040 0.290 0.750
0.068 0.746 0.813
0.086 0.674 0.939
0.125 0.510 0.494
0.131 0.625 0.115
0.151 0.227 0.057
0.174 0.735 0.588
0.210 0.460 0.750
0.235 0.148 0.561
0.245 0.432 0.178
0.246 0.933 0.678
0.273 0.830 0.924
0.287 0.037 0.250
0.330 0.906 0.557
0.352 0.414 0.088
0.364 0.482 0.487
0.377 0.864 0.382
0.406 0.349 0.576
0.433 0.255 0.687
0.463 0.213 0.250
0.484 0.369 0.994
0.495 0.877 0.013
0.505 0.123 0.987
0.516 0.631 0.006
0.537 0.787 0.750
0.567 0.745 0.313
0.594 0.651 0.424
0.623 0.136 0.618
0.636 0.518 0.513
0.648 0.586 0.912
0.670 0.094 0.443
0.713 0.963 0.750
0.727 0.170 0.076
0.754 0.067 0.322
0.755 0.568 0.822
0.765 0.852 0.439
0.790 0.540 0.250
0.826 0.265 0.412
0.849 0.773 0.943
0.869 0.375 0.885
0.875 0.490 0.506
0.914 0.326 0.061
0.932 0.254 0.187
0.960 0.710 0.250
0.982 0.995 0.118
0.990 0.984 0.615


# 3
ThV2O7 (GGA+U, relaxed); E_form = -2916 meV per atom; excess energy over the best structure of this formula in the dataset = 31 meV/atom; spin magnetization = 0.01 μB/f.u.; SG = Pnnm (58)
1.0
7.182 0.000 0.000
0.000 7.356 0.000
0.000 0.000 23.607
Th V O
8 16 56
direct
0.140 0.242 0.145
0.140 0.242 0.855
0.360 0.742 0.355
0.360 0.742 0.645
0.640 0.258 0.355
0.640 0.258 0.645
0.860 0.758 0.145
0.860 0.758 0.855
0.118 0.684 0.000
0.131 0.828 0.500
0.185 0.245 0.314
0.185 0.245 0.686
0.315 0.745 0.186
0.315 0.745 0.814
0.369 0.328 0.000
0.382 0.184 0.500
0.618 0.816 0.500
0.631 0.672 0.000
0.685 0.255 0.186
0.685 0.255 0.814
0.815 0.755 0.314
0.815 0.755 0.686
0.869 0.172 0.500
0.882 0.316 0.000
0.035 0.759 0.341
0.035 0.759 0.659
0.068 0.798 0.060
0.068 0.798 0.940
0.124 0.116 0.500
0.128 0.423 0.000
0.160 0.247 0.241
0.160 0.247 0.759
0.170 0.703 0.441
0.170 0.703 0.559
0.171 0.567 0.161
0.171 0.567 0.839
0.176 0.932 0.165
0.176 0.932 0.835
0.324 0.432 0.335
0.324 0.432 0.665
0.329 0.067 0.339
0.329 0.067 0.661
0.330 0.203 0.059
0.330 0.203 0.941
0.340 0.747 0.259
0.340 0.747 0.741
0.372 0.923 0.500
0.376 0.616 0.000
0.432 0.298 0.440
0.432 0.298 0.560
0.465 0.259 0.159
0.465 0.259 0.841
0.535 0.741 0.159
0.535 0.741 0.841
0.568 0.702 0.440
0.568 0.702 0.560
0.624 0.384 0.000
0.628 0.077 0.500
0.660 0.253 0.259
0.660 0.253 0.741
0.670 0.797 0.059
0.670 0.797 0.941
0.671 0.933 0.339
0.671 0.933 0.661
0.676 0.568 0.335
0.676 0.568 0.665
0.824 0.068 0.165
0.824 0.068 0.835
0.829 0.433 0.161
0.829 0.433 0.839
0.830 0.297 0.441
0.830 0.297 0.559
0.840 0.753 0.241
0.840 0.753 0.759
0.872 0.577 0.000
0.876 0.884 0.500
0.932 0.202 0.060
0.932 0.202 0.940
0.965 0.241 0.341
0.965 0.241 0.659


# 4
ThWO3 (GGA+U, relaxed); E_form = -2093 meV per atom; spin magnetization = 2.51 μB/f.u.; SG = Pm-3m (221)
1.0
4.135 0.000 0.000
0.000 4.135 0.000
0.000 0.000 4.135
Th W O
1 1 3
direct
0.000 0.000 0.000
0.500 0.500 0.500
0.000 0.500 0.500
0.500 0.000 0.500
0.500 0.500 0.000


Repeat the third record exactly.
ThV2O7 (GGA+U, relaxed); E_form = -2916 meV per atom; excess energy over the best structure of this formula in the dataset = 31 meV/atom; spin magnetization = 0.01 μB/f.u.; SG = Pnnm (58)
1.0
7.182 0.000 0.000
0.000 7.356 0.000
0.000 0.000 23.607
Th V O
8 16 56
direct
0.140 0.242 0.145
0.140 0.242 0.855
0.360 0.742 0.355
0.360 0.742 0.645
0.640 0.258 0.355
0.640 0.258 0.645
0.860 0.758 0.145
0.860 0.758 0.855
0.118 0.684 0.000
0.131 0.828 0.500
0.185 0.245 0.314
0.185 0.245 0.686
0.315 0.745 0.186
0.315 0.745 0.814
0.369 0.328 0.000
0.382 0.184 0.500
0.618 0.816 0.500
0.631 0.672 0.000
0.685 0.255 0.186
0.685 0.255 0.814
0.815 0.755 0.314
0.815 0.755 0.686
0.869 0.172 0.500
0.882 0.316 0.000
0.035 0.759 0.341
0.035 0.759 0.659
0.068 0.798 0.060
0.068 0.798 0.940
0.124 0.116 0.500
0.128 0.423 0.000
0.160 0.247 0.241
0.160 0.247 0.759
0.170 0.703 0.441
0.170 0.703 0.559
0.171 0.567 0.161
0.171 0.567 0.839
0.176 0.932 0.165
0.176 0.932 0.835
0.324 0.432 0.335
0.324 0.432 0.665
0.329 0.067 0.339
0.329 0.067 0.661
0.330 0.203 0.059
0.330 0.203 0.941
0.340 0.747 0.259
0.340 0.747 0.741
0.372 0.923 0.500
0.376 0.616 0.000
0.432 0.298 0.440
0.432 0.298 0.560
0.465 0.259 0.159
0.465 0.259 0.841
0.535 0.741 0.159
0.535 0.741 0.841
0.568 0.702 0.440
0.568 0.702 0.560
0.624 0.384 0.000
0.628 0.077 0.500
0.660 0.253 0.259
0.660 0.253 0.741
0.670 0.797 0.059
0.670 0.797 0.941
0.671 0.933 0.339
0.671 0.933 0.661
0.676 0.568 0.335
0.676 0.568 0.665
0.824 0.068 0.165
0.824 0.068 0.835
0.829 0.433 0.161
0.829 0.433 0.839
0.830 0.297 0.441
0.830 0.297 0.559
0.840 0.753 0.241
0.840 0.753 0.759
0.872 0.577 0.000
0.876 0.884 0.500
0.932 0.202 0.060
0.932 0.202 0.940
0.965 0.241 0.341
0.965 0.241 0.659


- Look up the spin magnetization of the fourth one.
  2.51 μB/f.u.


- E_form of number 4 (ThWO3)?
  -2093 meV per atom


- Among the records above, which one has the lowest E_form?
  ThV2O7